1.
Compound: GdTe2
Source: the Materials Project database
Functional: PBE
Structure: optimized geometry

a b c (Å): 4.4161 4.4161 8.9335
angles (deg): 90.00 90.00 90.00
Closest atoms and distances in Å follow each position.
Positions (direct):
1 Te 0.0000 0.0000 0.0000  4 Te 3.12, 4 Gd 3.30
2 Gd 0.0000 0.5000 0.7261  9 Te 3.19-3.30
3 Te 0.5000 0.5000 0.0000  4 Te 3.12, 4 Gd 3.30
4 Te 0.5000 0.0000 0.6312  5 Gd 3.19-3.24
5 Te 0.0000 0.5000 0.3688  5 Gd 3.19-3.24
6 Gd 0.5000 0.0000 0.2739  9 Te 3.19-3.30

---

2.
Compound: GdTl9Te6
Source: the Materials Project database
Functional: PBE
Structure: optimized geometry

As for the total moment: 7.000 Bohr magnetons per cell.

a b c (Å): 8.8583 8.8583 9.0504
angles (deg): 119.30 119.30 90.00
Closest atoms and distances in Å follow each position.
Positions (direct):
1 Te 0.6776 0.8494 0.0000  1 Gd 3.15, 7 Tl 3.16-3.50
2 Tl 0.3134 0.5192 0.3188  3 Te 3.16-3.50, 3 Tl 3.51-3.52
3 Te 0.1506 0.6776 0.0000  1 Gd 3.15, 7 Tl 3.16-3.50
4 Te 0.3224 0.1506 0.0000  1 Gd 3.15, 7 Tl 3.16-3.50
5 Tl 0.2004 0.6866 0.6812  3 Te 3.16-3.50, 3 Tl 3.51-3.52
6 Tl 0.5000 0.5000 0.0000  6 Te 3.45-3.47
7 Te 0.7641 0.7641 0.5283  1 Gd 3.08, 1 Tl 3.45
8 Gd 0.0000 0.0000 0.0000  6 Te 3.08-3.15
9 Tl 0.9946 0.2004 0.6812  3 Te 3.16-3.50, 3 Tl 3.51-3.52
10 Te 0.2359 0.2359 0.4717  1 Gd 3.08, 1 Tl 3.45
11 Tl 0.0054 0.7996 0.3188  3 Te 3.16-3.50, 3 Tl 3.51-3.52
12 Tl 0.6866 0.4808 0.6812  3 Te 3.16-3.50, 3 Tl 3.51-3.52
13 Tl 0.7996 0.3134 0.3188  3 Te 3.16-3.50, 3 Tl 3.51-3.52
14 Tl 0.5192 0.0054 0.3188  3 Te 3.16-3.50, 3 Tl 3.51-3.52
15 Te 0.8494 0.3224 0.0000  1 Gd 3.15, 7 Tl 3.16-3.50
16 Tl 0.4808 0.9946 0.6812  3 Te 3.16-3.50, 3 Tl 3.51-3.52

---

Number 1: calculated formation energy -1.500 eV per atom, E -24.02 eV/f.u.. Number 2: calculated formation energy -0.636 eV per atom, E -61.84 eV/f.u..